This record from the Materials Project database describes crystalline LaF3 at its relaxed geometry. The functional is PBE.

Results
Its energy with MP2020 corrections is -6.988 eV/atom.

a = 3.882 Å, b = 3.882 Å, c = 6.670 Å
α = 90.00°, β = 90.00°, γ = 90.00°
Space group I4/mmm (No. 139)
One atom of each set of equivalent atoms:
La (0.000, 0.000, 0.000) (multiplicity 2)
F (0.000, 0.000, 0.500) (multiplicity 2)
F (0.000, 0.500, 0.250) (multiplicity 4)



This record from the Materials Project database describes crystalline Na10Sc8Si5S7O48 at its relaxed geometry. The functional is PBE.

Results
Its energy with MP2020 corrections is -7.363 eV/atom.

a = 9.047 Å, b = 15.693 Å, c = 22.869 Å
α = 89.70°, β = 89.91°, γ = 89.95°
Space group P1 (No. 1)
One atom of each set of equivalent atoms:
Na (0.000, 0.000, 0.000) (multiplicity 1)
Na (0.001, 0.667, 0.666) (multiplicity 1)
Na (0.008, 0.335, 0.333) (multiplicity 1)
Na (0.129, 0.483, 0.253) (multiplicity 1)
Na (0.137, 0.159, 0.919) (multiplicity 1)
Na (0.141, 0.828, 0.588) (multiplicity 1)
Na (0.154, 0.156, 0.424) (multiplicity 1)
Na (0.155, 0.822, 0.089) (multiplicity 1)
Na (0.156, 0.485, 0.756) (multiplicity 1)
Na (0.270, 0.335, 0.833) (multiplicity 1)
Na (0.280, 0.668, 0.165) (multiplicity 1)
Na (0.329, 0.309, 0.506) (multiplicity 1)
Na (0.448, 0.148, 0.345) (multiplicity 1)
Na (0.464, 0.505, 0.339) (multiplicity 1)
Na (0.500, 0.168, 0.667) (multiplicity 1)
Na (0.508, 0.835, 0.333) (multiplicity 1)
Na (0.613, 0.654, 0.926) (multiplicity 1)
Na (0.628, 0.981, 0.254) (multiplicity 1)
Na (0.639, 0.328, 0.589) (multiplicity 1)
Na (0.639, 0.331, 0.089) (multiplicity 1)
Na (0.647, 0.987, 0.752) (multiplicity 1)
Na (0.654, 0.656, 0.423) (multiplicity 1)
Na (0.778, 0.168, 0.166) (multiplicity 1)
Na (0.780, 0.833, 0.834) (multiplicity 1)
Na (0.817, 0.504, 0.841) (multiplicity 1)
Na (0.829, 0.810, 0.505) (multiplicity 1)
Na (0.831, 0.150, 0.843) (multiplicity 1)
Na (0.947, 0.648, 0.345) (multiplicity 1)
Na (0.950, 0.311, 0.004) (multiplicity 1)
Na (0.964, 0.004, 0.340) (multiplicity 1)
Sc (0.125, 0.838, 0.737) (multiplicity 1)
Sc (0.127, 0.498, 0.405) (multiplicity 1)
Sc (0.131, 0.169, 0.072) (multiplicity 1)
Sc (0.132, 0.830, 0.440) (multiplicity 1)
Sc (0.134, 0.168, 0.775) (multiplicity 1)
Sc (0.137, 0.497, 0.107) (multiplicity 1)
Sc (0.142, 0.495, 0.607) (multiplicity 1)
Sc (0.144, 0.839, 0.238) (multiplicity 1)
Sc (0.147, 0.170, 0.274) (multiplicity 1)
Sc (0.147, 0.827, 0.942) (multiplicity 1)
Sc (0.153, 0.165, 0.571) (multiplicity 1)
Sc (0.155, 0.501, 0.903) (multiplicity 1)
Sc (0.621, 0.668, 0.070) (multiplicity 1)
Sc (0.627, 0.998, 0.405) (multiplicity 1)
Sc (0.629, 0.665, 0.773) (multiplicity 1)
Sc (0.632, 0.330, 0.440) (multiplicity 1)
Sc (0.633, 0.994, 0.108) (multiplicity 1)
Sc (0.634, 0.339, 0.739) (multiplicity 1)
Sc (0.642, 0.997, 0.607) (multiplicity 1)
Sc (0.644, 0.340, 0.238) (multiplicity 1)
Sc (0.646, 0.332, 0.939) (multiplicity 1)
Sc (0.648, 0.670, 0.273) (multiplicity 1)
Sc (0.649, 0.001, 0.906) (multiplicity 1)
Sc (0.653, 0.665, 0.571) (multiplicity 1)
Si (0.284, 0.645, 0.007) (multiplicity 1)
Si (0.284, 0.977, 0.340) (multiplicity 1)
Si (0.289, 0.313, 0.673) (multiplicity 1)
Si (0.346, 0.332, 0.340) (multiplicity 1)
Si (0.489, 0.813, 0.174) (multiplicity 1)
Si (0.495, 0.146, 0.507) (multiplicity 1)
Si (0.495, 0.479, 0.840) (multiplicity 1)
Si (0.784, 0.146, 0.008) (multiplicity 1)
Si (0.784, 0.478, 0.340) (multiplicity 1)
Si (0.784, 0.813, 0.673) (multiplicity 1)
Si (0.846, 0.832, 0.339) (multiplicity 1)
Si (0.933, 0.332, 0.839) (multiplicity 1)
Si (0.989, 0.314, 0.173) (multiplicity 1)
Si (0.994, 0.977, 0.842) (multiplicity 1)
Si (0.995, 0.646, 0.507) (multiplicity 1)
S (0.286, 0.017, 0.673) (multiplicity 1)
S (0.286, 0.684, 0.339) (multiplicity 1)
S (0.288, 0.350, 0.006) (multiplicity 1)
S (0.346, 0.664, 0.671) (multiplicity 1)
S (0.346, 0.997, 0.006) (multiplicity 1)
S (0.431, 0.831, 0.838) (multiplicity 1)
S (0.432, 0.499, 0.505) (multiplicity 1)
S (0.434, 0.163, 0.172) (multiplicity 1)
S (0.491, 0.850, 0.507) (multiplicity 1)
S (0.493, 0.183, 0.839) (multiplicity 1)
S (0.493, 0.518, 0.173) (multiplicity 1)
S (0.786, 0.184, 0.339) (multiplicity 1)
S (0.786, 0.517, 0.672) (multiplicity 1)
S (0.786, 0.850, 0.005) (multiplicity 1)
S (0.846, 0.163, 0.672) (multiplicity 1)
S (0.847, 0.499, 0.005) (multiplicity 1)
S (0.932, 0.999, 0.505) (multiplicity 1)
S (0.934, 0.664, 0.172) (multiplicity 1)
S (0.991, 0.350, 0.506) (multiplicity 1)
S (0.992, 0.017, 0.172) (multiplicity 1)
S (0.993, 0.684, 0.838) (multiplicity 1)
O (0.018, 0.913, 0.787) (multiplicity 1)
O (0.021, 0.070, 0.225) (multiplicity 1)
O (0.021, 0.739, 0.889) (multiplicity 1)
O (0.022, 0.252, 0.115) (multiplicity 1)
O (0.024, 0.403, 0.557) (multiplicity 1)
O (0.025, 0.075, 0.513) (multiplicity 1)
O (0.025, 0.920, 0.502) (multiplicity 1)
O (0.028, 0.590, 0.448) (multiplicity 1)
O (0.031, 0.739, 0.177) (multiplicity 1)
O (0.032, 0.587, 0.168) (multiplicity 1)
O (0.035, 0.418, 0.846) (multiplicity 1)
O (0.042, 0.247, 0.834) (multiplicity 1)
O (0.051, 0.597, 0.845) (multiplicity 1)
O (0.057, 0.058, 0.119) (multiplicity 1)
O (0.057, 0.267, 0.231) (multiplicity 1)
O (0.057, 0.931, 0.176) (multiplicity 1)
O (0.058, 0.932, 0.901) (multiplicity 1)
O (0.059, 0.073, 0.833) (multiplicity 1)
O (0.059, 0.598, 0.566) (multiplicity 1)
O (0.059, 0.722, 0.784) (multiplicity 1)
O (0.061, 0.264, 0.512) (multiplicity 1)
O (0.061, 0.387, 0.453) (multiplicity 1)
O (0.065, 0.408, 0.165) (multiplicity 1)
O (0.065, 0.743, 0.504) (multiplicity 1)
O (0.205, 0.071, 0.332) (multiplicity 1)
O (0.208, 0.932, 0.396) (multiplicity 1)
O (0.209, 0.741, 0.000) (multiplicity 1)
O (0.213, 0.407, 0.665) (multiplicity 1)
O (0.217, 0.264, 0.012) (multiplicity 1)
O (0.217, 0.387, 0.952) (multiplicity 1)
O (0.218, 0.601, 0.068) (multiplicity 1)
O (0.218, 0.721, 0.285) (multiplicity 1)
O (0.219, 0.056, 0.620) (multiplicity 1)
O (0.220, 0.598, 0.346) (multiplicity 1)
O (0.221, 0.266, 0.731) (multiplicity 1)
O (0.224, 0.930, 0.679) (multiplicity 1)
O (0.238, 0.247, 0.334) (multiplicity 1)
O (0.243, 0.418, 0.346) (multiplicity 1)
O (0.246, 0.588, 0.668) (multiplicity 1)
O (0.247, 0.921, 0.001) (multiplicity 1)
O (0.248, 0.585, 0.951) (multiplicity 1)
O (0.250, 0.074, 0.011) (multiplicity 1)
O (0.250, 0.741, 0.678) (multiplicity 1)
O (0.255, 0.403, 0.057) (multiplicity 1)
O (0.256, 0.251, 0.615) (multiplicity 1)
O (0.258, 0.070, 0.725) (multiplicity 1)
O (0.262, 0.738, 0.390) (multiplicity 1)
O (0.267, 0.915, 0.283) (multiplicity 1)
O (0.307, 0.814, 0.177) (multiplicity 1)
O (0.311, 0.157, 0.510) (multiplicity 1)
O (0.315, 0.486, 0.845) (multiplicity 1)
O (0.329, 0.512, 0.167) (multiplicity 1)
O (0.330, 0.841, 0.501) (multiplicity 1)
O (0.331, 0.174, 0.833) (multiplicity 1)
O (0.334, 0.484, 0.556) (multiplicity 1)
O (0.338, 0.172, 0.121) (multiplicity 1)
O (0.340, 0.818, 0.891) (multiplicity 1)
O (0.340, 0.841, 0.786) (multiplicity 1)
O (0.344, 0.509, 0.451) (multiplicity 1)
O (0.346, 0.150, 0.226) (multiplicity 1)
O (0.437, 0.651, 0.725) (multiplicity 1)
O (0.439, 0.007, 0.953) (multiplicity 1)
O (0.439, 0.674, 0.619) (multiplicity 1)
O (0.439, 0.984, 0.058) (multiplicity 1)
O (0.443, 0.311, 0.399) (multiplicity 1)
O (0.448, 0.340, 0.000) (multiplicity 1)
O (0.449, 0.673, 0.333) (multiplicity 1)
O (0.450, 0.012, 0.667) (multiplicity 1)
O (0.456, 0.346, 0.284) (multiplicity 1)
O (0.465, 0.990, 0.345) (multiplicity 1)
O (0.467, 0.653, 0.010) (multiplicity 1)
O (0.471, 0.314, 0.676) (multiplicity 1)
O (0.517, 0.418, 0.783) (multiplicity 1)
O (0.520, 0.237, 0.890) (multiplicity 1)
O (0.520, 0.569, 0.226) (multiplicity 1)
O (0.523, 0.748, 0.119) (multiplicity 1)
O (0.525, 0.420, 0.502) (multiplicity 1)
O (0.525, 0.575, 0.513) (multiplicity 1)
O (0.525, 0.903, 0.558) (multiplicity 1)
O (0.528, 0.090, 0.448) (multiplicity 1)
O (0.529, 0.907, 0.845) (multiplicity 1)
O (0.530, 0.239, 0.177) (multiplicity 1)
O (0.531, 0.755, 0.834) (multiplicity 1)
O (0.532, 0.087, 0.168) (multiplicity 1)
O (0.556, 0.769, 0.234) (multiplicity 1)
O (0.557, 0.432, 0.176) (multiplicity 1)
O (0.559, 0.097, 0.565) (multiplicity 1)
O (0.559, 0.559, 0.121) (multiplicity 1)
O (0.561, 0.887, 0.453) (multiplicity 1)
O (0.562, 0.097, 0.846) (multiplicity 1)
O (0.562, 0.219, 0.785) (multiplicity 1)
O (0.562, 0.764, 0.513) (multiplicity 1)
O (0.565, 0.243, 0.504) (multiplicity 1)
O (0.565, 0.907, 0.166) (multiplicity 1)
O (0.574, 0.433, 0.896) (multiplicity 1)
O (0.580, 0.572, 0.832) (multiplicity 1)
O (0.705, 0.571, 0.332) (multiplicity 1)
O (0.708, 0.431, 0.396) (multiplicity 1)
O (0.711, 0.907, 0.666) (multiplicity 1)
O (0.717, 0.242, 0.004) (multiplicity 1)
O (0.718, 0.221, 0.285) (multiplicity 1)
O (0.718, 0.766, 0.733) (multiplicity 1)
O (0.720, 0.096, 0.066) (multiplicity 1)
O (0.720, 0.097, 0.346) (multiplicity 1)
O (0.720, 0.559, 0.621) (multiplicity 1)
O (0.721, 0.888, 0.951) (multiplicity 1)
O (0.722, 0.432, 0.677) (multiplicity 1)
O (0.724, 0.763, 0.012) (multiplicity 1)
O (0.738, 0.747, 0.334) (multiplicity 1)
O (0.743, 0.918, 0.346) (multiplicity 1)
O (0.747, 0.087, 0.668) (multiplicity 1)
O (0.749, 0.239, 0.677) (multiplicity 1)
O (0.754, 0.420, 0.002) (multiplicity 1)
O (0.754, 0.575, 0.013) (multiplicity 1)
O (0.756, 0.751, 0.616) (multiplicity 1)
O (0.756, 0.905, 0.056) (multiplicity 1)
O (0.757, 0.085, 0.950) (multiplicity 1)
O (0.758, 0.570, 0.726) (multiplicity 1)
O (0.762, 0.238, 0.390) (multiplicity 1)
O (0.768, 0.415, 0.283) (multiplicity 1)
O (0.807, 0.314, 0.176) (multiplicity 1)
O (0.808, 0.985, 0.845) (multiplicity 1)
O (0.811, 0.657, 0.510) (multiplicity 1)
O (0.823, 0.345, 0.784) (multiplicity 1)
O (0.828, 0.012, 0.167) (multiplicity 1)
O (0.828, 0.678, 0.833) (multiplicity 1)
O (0.830, 0.341, 0.501) (multiplicity 1)
O (0.834, 0.984, 0.556) (multiplicity 1)
O (0.835, 0.311, 0.899) (multiplicity 1)
O (0.838, 0.673, 0.120) (multiplicity 1)
O (0.844, 0.009, 0.451) (multiplicity 1)
O (0.845, 0.651, 0.226) (multiplicity 1)
O (0.934, 0.150, 0.726) (multiplicity 1)
O (0.934, 0.508, 0.951) (multiplicity 1)
O (0.942, 0.172, 0.620) (multiplicity 1)
O (0.943, 0.812, 0.399) (multiplicity 1)
O (0.945, 0.483, 0.056) (multiplicity 1)
O (0.949, 0.173, 0.333) (multiplicity 1)
O (0.950, 0.513, 0.667) (multiplicity 1)
O (0.950, 0.846, 0.000) (multiplicity 1)
O (0.955, 0.846, 0.284) (multiplicity 1)
O (0.965, 0.490, 0.345) (multiplicity 1)
O (0.968, 0.814, 0.678) (multiplicity 1)
O (0.969, 0.151, 0.011) (multiplicity 1)



This record from the Materials Project database describes crystalline RbB5H5 at its relaxed geometry. The functional is PBE.

Results
Its energy with MP2020 corrections is -5.038 eV/atom.

a = 7.282 Å, b = 11.462 Å, c = 15.295 Å
α = 90.00°, β = 113.36°, γ = 90.00°
Space group P2_1/c (No. 14)
One atom of each set of equivalent atoms:
Rb (0.059, 0.071, 0.312) (multiplicity 4)
Rb (0.356, 0.621, 0.555) (multiplicity 4)
B (0.093, 0.220, 0.112) (multiplicity 4)
B (0.142, 0.172, 0.547) (multiplicity 4)
B (0.228, 0.177, 0.048) (multiplicity 4)
B (0.246, 0.171, 0.677) (multiplicity 4)
B (0.331, 0.178, 0.179) (multiplicity 4)
B (0.362, 0.204, 0.523) (multiplicity 4)
B (0.374, 0.096, 0.613) (multiplicity 4)
B (0.421, 0.670, 0.883) (multiplicity 4)
B (0.494, 0.702, 0.793) (multiplicity 4)
B (0.495, 0.191, 0.117) (multiplicity 4)
H (0.005, 0.119, 0.489) (multiplicity 4)
H (0.062, 0.687, 0.387) (multiplicity 4)
H (0.166, 0.101, 0.989) (multiplicity 4)
H (0.200, 0.119, 0.734) (multiplicity 4)
H (0.265, 0.638, 0.883) (multiplicity 4)
H (0.357, 0.195, 0.444) (multiplicity 4)
H (0.366, 0.101, 0.237) (multiplicity 4)
H (0.371, 0.509, 0.112) (multiplicity 4)
H (0.371, 0.693, 0.713) (multiplicity 4)
H (0.398, 0.609, 0.379) (multiplicity 4)



This record from the Materials Project database describes crystalline Dy15Fe8C26 at its relaxed geometry. The functional is PBE.

a = 11.9180 Å, b = 11.9180 Å, c = 5.1428 Å
α = 90.00°, β = 90.00°, γ = 120.00°
Space group P321 (No. 150)
One atom of each set of equivalent atoms:
Dy (0.0000, 0.8330, 0.0000) (multiplicity 3)
Dy (0.1158, 0.4037, 0.2464) (multiplicity 6)
Dy (0.1449, 0.6310, 0.7427) (multiplicity 6)
Fe (0.0000, 0.1292, 0.5000) (multiplicity 3)
Fe (0.0000, 0.7417, 0.5000) (multiplicity 3)
Fe (0.3333, 0.6667, 0.2326) (multiplicity 2)
C (0.0000, 0.0000, 0.2775) (multiplicity 2)
C (0.0800, 0.6809, 0.2711) (multiplicity 6)
C (0.1188, 0.2989, 0.6756) (multiplicity 6)
C (0.1248, 0.4157, 0.7346) (multiplicity 6)
C (0.1683, 0.6412, 0.2412) (multiplicity 6)



| no. | formation energy (eV/atom) |
| --- | --- |
| 1 | -4.318 |
| 2 | -2.780 |
| 3 | -0.370 |
| 4 | -0.261 |